# 1
{"formula": "K2HgSCl2O4", "functional": "PBE", "state": "relaxed", "cell": [[-0.614, -5.832, -1.678], [5.641, -2.335, -4.159], [7.279, -3.297, 7.213]], "species": ["K", "K", "K", "K", "Hg", "Hg", "S", "S", "Cl", "Cl", "Cl", "Cl", "O", "O", "O", "O", "O", "O", "O", "O"], "frac_coords": [[0.009, 0.532, 0.764], [0.991, 0.468, 0.236], [0.707, 0.192, 0.596], [0.293, 0.808, 0.404], [0.332, 0.828, 0.946], [0.668, 0.172, 0.054], [0.295, 0.951, 0.707], [0.705, 0.049, 0.293], [0.162, 0.178, 0.040], [0.838, 0.822, 0.960], [0.433, 0.598, 0.162], [0.567, 0.402, 0.838], [0.152, 0.859, 0.655], [0.848, 0.141, 0.345], [0.541, 0.888, 0.663], [0.459, 0.112, 0.337], [0.173, 0.174, 0.680], [0.827, 0.826, 0.320], [0.750, 0.602, 0.533], [0.250, 0.398, 0.467]], "m_tot_mub_per_cell": 4.00, "rho_g_cm3": 3.40, "formation_energy_mev_per_atom": -1317}

=====

# 2
{"formula": "KTe", "functional": "PBE", "state": "relaxed", "cell": [[4.839, -8.382, 0.000], [4.839, 8.382, 0.000], [0.000, 0.000, 6.505]], "species": ["K", "K", "K", "K", "K", "K", "Te", "Te", "Te", "Te", "Te", "Te"], "frac_coords": [[0.655, 0.000, 0.000], [0.345, 0.345, 0.000], [0.000, 0.655, 0.000], [0.322, 0.000, 0.500], [0.678, 0.678, 0.500], [0.000, 0.322, 0.500], [0.000, 0.000, 0.218], [0.000, 0.000, 0.782], [0.333, 0.667, 0.281], [0.333, 0.667, 0.719], [0.667, 0.333, 0.719], [0.667, 0.333, 0.281]], "rho_g_cm3": 3.15, "e_ij_max_c_m2": 0.0, "formation_energy_mev_per_atom": -1046}